[1]
# Sr2MgGaSbO6

Crystalline Sr2MgGaSbO6 at its relaxed geometry (GGA-PBE, the Materials Project database).

## Properties
For the energy above the lowest structure with this stoichiometry, the calculation gives 188.0 meV per atom.

Lattice parameters (Å, degrees): 5.766 6.353 6.353 55.23 63.01 63.01
Atoms (fractional coordinates):
Mg 0.500 0.000 0.000
O 0.747 0.253 0.253
O 0.761 0.772 0.228
O 0.761 0.228 0.772
O 0.239 0.228 0.772
O 0.253 0.747 0.747
O 0.239 0.772 0.228
Sr 0.817 0.683 0.683
Sr 0.183 0.317 0.317
Sb 0.500 0.500 0.500
Ga 0.000 0.000 0.000

***

[2]
# MgTiGa4O8

Crystalline MgTiGa4O8 at its relaxed geometry (GGA-PBE, the Materials Project database).

## Properties
For the energy above the lowest structure with this stoichiometry, the calculation gives 23.4 meV per atom.

Lattice parameters (Å, degrees): 3.006 6.684 8.244 78.34 79.48 76.99
Atoms (fractional coordinates):
O 0.627 0.186 0.559
O 0.116 0.478 0.291
O 0.153 0.880 0.815
O 0.445 0.197 0.914
O 0.326 0.862 0.486
O 0.823 0.113 0.241
O 0.523 0.831 0.123
O 0.888 0.547 0.677
Ga 0.215 0.185 0.384
Ga 0.455 0.381 0.709
Ga 0.735 0.863 0.667
Ga 0.697 0.507 0.100
Ti 0.985 0.019 0.011
Mg 0.948 0.773 0.332

***

[3]
# MgTiGa4O8

Crystalline MgTiGa4O8 at its relaxed geometry (GGA-PBE, the Materials Project database).

## Properties
For the energy above the lowest structure with this stoichiometry, the calculation gives 120.7 meV per atom.

Lattice parameters (Å, degrees): 3.100 6.470 8.394 80.82 77.38 75.06
Atoms (fractional coordinates):
O 0.842 0.098 0.222
O 0.396 0.239 0.928
O 0.162 0.469 0.273
O 0.158 0.902 0.778
O 0.644 0.174 0.533
O 0.356 0.826 0.467
O 0.838 0.531 0.727
O 0.604 0.761 0.072
Ti 0.000 0.000 0.000
Ga 0.444 0.355 0.701
Ga 0.556 0.645 0.299
Ga 0.241 0.148 0.358
Ga 0.759 0.852 0.642
Mg 0.500 0.500 0.000

***

[4]
# MgTiGa4O8

Crystalline MgTiGa4O8 at its relaxed geometry (GGA-PBE, the Materials Project database).

## Properties
For the energy above the lowest structure with this stoichiometry, the calculation gives 0.0 meV per atom.

Lattice parameters (Å, degrees): 2.978 6.512 8.389 77.96 78.00 77.45
Atoms (fractional coordinates):
O 0.165 0.849 0.802
O 0.853 0.529 0.691
O 0.530 0.819 0.096
O 0.343 0.828 0.480
O 0.835 0.151 0.198
O 0.657 0.172 0.520
O 0.147 0.471 0.309
O 0.470 0.181 0.904
Ti 0.000 0.000 0.000
Ga 0.264 0.126 0.363
Ga 0.257 0.493 0.859
Ga 0.743 0.507 0.141
Ga 0.736 0.874 0.637
Mg 0.500 0.500 0.500

***

[5]
# MgTiGa4O8

Crystalline MgTiGa4O8 at its relaxed geometry (GGA-PBE, the Materials Project database).

## Properties
For the energy above the lowest structure with this stoichiometry, the calculation gives 101.8 meV per atom.

Lattice parameters (Å, degrees): 3.111 6.399 8.370 80.91 79.29 75.93
Atoms (fractional coordinates):
O 0.158 0.909 0.774
O 0.874 0.532 0.721
O 0.592 0.742 0.075
O 0.415 0.242 0.929
O 0.830 0.135 0.205
O 0.350 0.839 0.461
O 0.648 0.174 0.530
O 0.108 0.475 0.309
Mg 0.784 0.430 0.003
Ga 0.525 0.644 0.305
Ga 0.474 0.356 0.698
Ga 0.752 0.856 0.639
Ga 0.244 0.155 0.356
Ti 0.015 0.969 0.001

***

[6]
# Pm2MgGa

Crystalline Pm2MgGa at its relaxed geometry (GGA-PBE, the Materials Project database).

## Properties
The raw total energy is -3.871 eV/atom.

Lattice parameters (Å, degrees): 5.299 5.299 5.299 60.00 60.00 60.00
Atoms (fractional coordinates):
Mg 0.000 0.000 0.000
Ga 0.500 0.500 0.500
Pm 0.750 0.750 0.750
Pm 0.250 0.250 0.250

***

[7]
# MgGaPt2

Crystalline MgGaPt2 at its relaxed geometry (GGA-PBE, the Materials Project database).

## Properties
The raw total energy is -4.903 eV/atom.

Lattice parameters (Å, degrees): 4.436 4.436 4.436 60.00 60.00 60.00
Atoms (fractional coordinates):
Ga 0.500 0.500 0.500
Pt 0.250 0.250 0.250
Pt 0.750 0.750 0.750
Mg 0.000 0.000 0.000

***

[8]
# RbMg6Ga

Crystalline RbMg6Ga at its relaxed geometry (GGA-PBE, the Materials Project database).

## Properties
The raw total energy is -1.504 eV/atom.

Lattice parameters (Å, degrees): 5.093 7.108 12.019 90.00 90.00 90.00
Atoms (fractional coordinates):
Mg 0.500 0.213 0.431
Mg 0.000 0.265 0.083
Mg 0.000 0.235 0.583
Mg 0.000 0.500 0.837
Mg 0.500 0.713 0.931
Mg 0.000 0.000 0.337
Mg 0.000 0.735 0.083
Mg 0.500 0.787 0.431
Mg 0.500 0.500 0.666
Mg 0.500 0.000 0.166
Mg 0.000 0.765 0.583
Mg 0.500 0.287 0.931
Rb 0.000 0.000 0.831
Rb 0.000 0.500 0.331
Ga 0.500 0.000 0.639
Ga 0.500 0.500 0.139

***

| no. | mass density (g cm⁻³) |
| --- | --- |
| 1 | 4.93 |
| 2 | 5.09 |
| 3 | 5.04 |
| 4 | 5.20 |
| 5 | 5.05 |
| 6 | 6.06 |
| 7 | 13.03 |
| 8 | 2.30 |